Material: BaVSe3
Method: DFT, PBE
State: relaxed

## Properties
- MP2020-corrected energy: -5.778 eV/atom
- Spin magnetization: 0.200 μB/atom
- Energy: -5.494 eV per atom
- Energy relative to the elements: -1480 meV per atom

extended XYZ file:
```
10
Lattice="0.000 0.000 -6.022 -3.513 -6.085 0.000 -7.027 0.000 0.000" Properties=species:S:1:pos:R:3 pbc="T T T"
Se -1.756 -1.014 -1.506
Se -7.027 -2.027 -4.517
Se -3.513 -4.058 -1.506
Se -5.271 -1.014 -1.506
Se -8.784 -5.072 -4.517
Se -5.269 -5.072 -4.517
V 0.000 0.000 -3.011
V 0.000 0.000 0.000
Ba -7.027 -4.057 -1.506
Ba -3.513 -2.028 -4.517
```

=====

Material: BaY2Se4
Method: DFT, PBE
State: relaxed

## Properties
- MP2020-corrected energy: -6.372 eV/atom
- Energy: -6.103 eV per atom
- Energy relative to the elements: -2253 meV per atom

extended XYZ file:
```
28
Lattice="-3.089 -0.540 2.809 8.764 -1.382 9.371 -0.331 14.994 2.520" Properties=species:S:1:pos:R:3 pbc="T T T"
Se 2.183 13.970 6.666
Se 2.018 10.616 8.994
Se 3.161 -0.899 8.035
Se -2.342 10.305 4.140
Se 4.162 7.707 7.637
Se 7.685 2.766 10.561
Se -0.564 1.765 4.452
Se 3.761 3.661 9.573
Se 3.325 2.455 5.707
Se 1.582 9.411 5.128
Se 5.907 11.307 10.249
Se 5.678 -0.516 10.877
Se -0.335 13.588 3.824
Se 1.181 5.364 7.064
Se 6.714 6.525 10.216
Se -1.370 6.546 4.485
Y -0.244 1.404 1.579
Y 4.044 4.953 6.977
Y 5.588 11.667 13.122
Y 5.621 4.326 11.747
Y 1.299 8.118 7.724
Y 1.339 0.506 6.303
Y -0.278 8.745 2.954
Y 4.004 12.566 8.398
Ba 4.115 8.509 10.895
Ba 1.228 4.563 3.806
Ba -0.323 11.764 6.641
Ba 5.667 1.307 8.060
```

=====

Material: Ba15Zr14Se42
Method: DFT, PBE
State: relaxed

## Properties
- MP2020-corrected energy: -6.101 eV/atom
- Spin magnetization: 0.000 μB/atom
- Energy: -5.821 eV per atom
- Energy relative to the elements: -1942 meV per atom

extended XYZ file:
```
142
Lattice="-0.095 0.834 31.534 -9.879 -6.799 29.177 1.865 -11.448 29.336" Properties=species:S:1:pos:R:3 pbc="T T T"
Zr -6.979 -14.986 77.496
Zr -3.217 -6.908 35.724
Zr -4.606 -9.890 51.145
Zr -1.130 -2.427 12.552
Zr -2.924 -6.279 32.472
Zr -2.027 -4.353 22.512
Zr -5.477 -11.760 60.815
Zr -7.837 -16.828 87.023
Zr -0.837 -1.798 9.300
Zr -1.721 -3.697 19.116
Zr -5.185 -11.134 57.575
Zr -6.388 -13.717 70.932
Zr -6.687 -14.360 74.256
Zr -2.333 -5.010 25.908
Zr -3.503 -7.523 38.902
Zr -4.055 -8.707 45.024
Zr 0.000 0.000 0.000
Zr -5.776 -12.403 64.140
Zr -6.082 -13.060 67.536
Zr -7.272 -15.615 80.748
Zr -4.327 -9.291 48.048
Zr -7.558 -16.229 83.926
Zr -0.272 -0.585 3.024
Zr -1.422 -3.054 15.791
Zr -3.782 -8.122 41.999
Zr -0.551 -1.184 6.122
Zr -2.633 -5.653 29.232
Zr -4.892 -10.505 54.323
Se -6.774 -12.041 55.516
Se -3.149 -3.040 45.260
Se -1.345 -2.043 21.217
Se -3.548 -2.618 17.357
Se 1.137 -9.894 49.570
Se -6.946 -4.564 49.873
Se -4.444 -4.530 27.614
Se -9.461 -7.832 58.801
Se -8.684 -6.209 34.209
Se -4.805 -14.475 65.573
Se -2.448 -7.679 46.963
Se -3.114 -8.803 53.145
Se -4.561 -14.795 72.691
Se -6.765 -15.371 68.831
Se -7.719 -11.926 69.411
Se -5.568 -15.509 51.208
Se 0.050 -2.054 17.790
Se -4.233 -6.241 43.888
Se -7.431 -5.730 56.176
Se -5.049 -5.713 34.131
Se -0.391 -5.488 20.636
Se -0.678 -11.683 33.871
Se -3.881 -4.529 20.507
Se 0.924 -10.800 37.431
Se -4.968 -10.920 66.246
Se 1.115 -6.919 46.775
Se -8.561 -5.349 46.208
Se -2.197 -7.408 27.260
Se -4.229 -12.884 69.540
Se -6.170 -16.583 57.405
Se -6.814 -9.477 52.681
Se 0.575 -11.205 55.838
Se -7.934 -7.887 30.738
Se 0.452 -12.064 43.840
Se -2.541 -1.904 38.839
Se -3.793 -5.104 37.689
Se -6.252 -8.154 46.529
Se -3.666 -12.884 62.433
Se -1.163 -12.849 40.174
Se -1.808 -6.613 40.821
Se -5.912 -10.005 62.788
Se -5.661 -9.734 43.084
Se -9.224 -10.494 43.272
Se -5.641 -6.837 40.432
Se -3.141 -6.493 23.801
Se -4.960 -14.373 44.787
Se -0.825 -4.093 28.024
Se -6.909 -11.996 73.021
Se -9.247 -7.519 40.477
Se -9.033 -6.614 52.616
Se -0.641 -3.361 42.056
Se -0.175 -9.527 59.309
Se -7.389 -10.822 59.065
Se -1.295 -7.936 37.367
Se -5.271 -8.694 56.299
Se -2.468 -10.576 49.615
Se -4.638 -7.412 50.032
Se -3.305 -2.939 24.474
Se -8.159 -15.359 72.258
Se -7.469 -14.052 47.991
Se -1.335 -5.372 34.531
Se -4.317 -12.309 52.358
Se -3.060 -11.700 55.917
Se -8.574 -9.179 36.889
Se 0.011 -2.191 35.769
Se -1.200 -5.417 17.027
Se -4.324 -7.425 30.497
Se -1.857 -9.259 43.519
Se -1.939 -0.831 32.643
Se -4.801 -13.495 58.781
Se -7.285 -13.320 62.023
Se 0.464 -8.234 53.158
Se -3.471 -10.001 40.016
Se 1.351 -9.582 31.247
Se -0.720 -6.591 30.983
Se -2.838 -8.719 33.749
Se -3.308 -3.919 31.266
Se -3.785 -9.988 59.550
Se -4.995 -8.611 36.903
Se -3.877 -11.172 46.159
Se -0.102 -4.629 24.436
Se -8.007 -12.784 65.612
Se -8.120 -15.223 54.278
Se -6.301 -10.800 49.227
Ba -0.865 -11.398 52.636
Ba 0.015 -9.592 40.503
Ba -4.822 -5.009 47.299
Ba -8.124 -7.821 49.545
Ba -4.120 -13.560 48.795
Ba 0.413 -3.463 32.378
Ba -7.385 -11.484 45.816
Ba -2.479 -11.158 36.846
Ba -3.287 -12.404 42.749
Ba -6.412 -8.897 33.800
Ba -8.651 -8.993 55.529
Ba 0.542 -8.420 34.518
Ba -6.970 -10.057 39.784
Ba -6.842 -4.608 31.504
Ba -8.522 -13.950 57.669
Ba -2.101 -10.246 30.840
Ba -1.268 -12.805 58.544
Ba -0.377 -10.530 46.631
Ba -3.989 -3.854 41.252
Ba -3.457 -2.714 35.262
Ba -7.732 -6.883 43.416
Ba -4.652 -14.700 54.786
Ba -1.697 -8.516 56.248
Ba -0.724 -5.929 44.232
Ba -6.008 -7.167 59.207
Ba -5.630 -6.256 53.201
Ba -7.696 -12.819 51.746
Ba -1.139 -7.356 50.263
Ba -0.413 -4.594 38.301
Ba -7.244 -6.015 37.412
```

=====

Material: BaSi
Method: DFT, PBE
State: relaxed

## Properties
- MP2020-corrected energy: -4.057 eV/atom
- Spin magnetization: 0.000 μB/atom
- Energy: -4.093 eV per atom
- Energy relative to the elements: -385 meV per atom

extended XYZ file:
```
4
Lattice="1.414 3.913 0.558 -4.482 1.819 -1.377 0.433 -0.976 6.484" Properties=species:S:1:pos:R:3 pbc="T T T"
Si -2.779 3.795 4.872
Si 0.145 0.960 0.793
Ba -0.945 0.966 4.350
Ba -1.689 3.790 1.315
```

=====

Material: Ba3Si23
Method: DFT, PBE
State: relaxed

## Properties
- MP2020-corrected energy: -5.043 eV/atom
- Spin magnetization: 0.000 μB/atom
- Energy: -5.106 eV per atom
- Energy relative to the elements: -22 meV per atom

extended XYZ file:
```
52
Lattice="-5.948 2.698 7.978 -8.323 -0.385 -6.074 -1.292 -9.944 2.400" Properties=species:S:1:pos:R:3 pbc="T T T"
Si -5.815 -3.438 -0.566
Si -9.178 -6.889 2.150
Si -10.172 -1.557 2.061
Si -8.391 -0.834 0.689
Si -6.925 -9.013 -2.114
Si -2.814 0.775 1.697
Si -12.695 -6.225 3.511
Si -4.914 -2.409 1.359
Si -10.648 -5.221 2.945
Si -1.615 -6.591 2.631
Si -1.110 -2.702 1.692
Si -5.107 -2.948 7.184
Si -8.939 -7.929 -1.527
Si -11.456 1.538 0.207
Si -6.384 -0.742 2.154
Si -5.055 1.253 2.471
Si -6.623 0.298 5.831
Si -8.457 -6.216 0.005
Si -5.624 -0.654 7.747
Si -6.126 -5.835 0.013
Si -4.530 -4.023 3.039
Si -5.140 1.830 4.817
Si -2.867 -1.406 0.793
Si -2.689 -1.316 -1.560
Si -9.747 -4.193 4.870
Si -5.130 -7.650 -1.237
Si -5.945 -1.467 -3.936
Si -6.129 -4.544 8.686
Si -9.598 -4.258 -0.659
Si -9.216 1.060 -0.567
Si -11.879 0.055 1.995
Si -7.439 -5.982 7.347
Si -3.670 -8.862 0.262
Si -7.171 -6.796 3.615
Si -7.981 -2.551 -0.879
Si -11.032 -3.607 1.265
Si -2.133 -4.297 3.195
Si -9.130 0.483 -2.913
Si -5.390 -6.074 2.243
Si -4.484 -2.678 -2.437
Si -8.123 -1.649 -3.043
Si -7.105 -1.415 4.299
Si -5.964 -3.373 4.963
Si -3.683 -7.685 2.309
Si -9.436 -1.795 4.292
Si -7.581 -5.079 5.183
Ba -2.726 -5.068 -0.319
Ba -6.888 -5.261 -3.356
Ba -3.943 -6.109 5.789
Ba -5.648 0.482 -1.043
Ba -3.297 -1.137 4.589
Ba -8.622 1.831 2.947
```

=====

Material: Ba6Si25
Method: DFT, PBE
State: relaxed

## Properties
- MP2020-corrected energy: -4.875 eV/atom
- Spin magnetization: 0.000 μB/atom
- Energy: -4.933 eV per atom
- Energy relative to the elements: -129 meV per atom

extended XYZ file:
```
124
Lattice="14.166 0.000 0.000 0.000 14.166 0.000 0.000 0.000 14.166" Properties=species:S:1:pos:R:3 pbc="T T T"
Si 1.569 11.838 11.713
Si 5.111 5.994 8.296
Si 13.567 7.069 4.171
Si 12.984 5.312 11.807
Si 11.255 7.683 7.097
Si 4.109 2.974 11.192
Si 1.213 1.972 8.172
Si 5.514 2.328 4.630
Si 7.220 12.419 11.521
Si 4.755 9.536 12.597
Si 13.078 12.953 9.055
Si 5.994 8.296 5.111
Si 9.412 2.453 8.653
Si 10.762 6.187 8.878
Si 3.678 0.897 5.289
Si 6.483 0.014 9.995
Si 8.854 4.724 8.265
Si 3.527 2.942 13.536
Si 10.639 10.025 7.713
Si 8.296 5.111 5.994
Si 0.600 14.152 2.912
Si 9.557 11.693 2.473
Si 10.610 4.141 0.630
Si 8.172 1.213 1.972
Si 11.693 2.473 9.557
Si 5.901 1.771 2.360
Si 7.980 1.794 10.488
Si 11.192 4.109 2.974
Si 1.972 8.172 1.213
Si 9.536 12.597 4.755
Si 0.630 10.610 4.141
Si 13.599 7.650 6.516
Si 6.187 8.878 10.762
Si 8.830 2.645 0.137
Si 0.897 5.289 3.678
Si 13.536 3.527 2.942
Si 10.488 7.980 1.794
Si 1.747 4.438 14.029
Si 4.610 4.610 4.610
Si 4.438 14.029 1.747
Si 11.838 11.713 1.569
Si 5.312 11.807 12.984
Si 2.453 8.653 9.412
Si 1.794 10.488 7.980
Si 3.556 11.224 6.453
Si 1.068 8.151 13.098
Si 12.419 11.521 7.220
Si 2.912 0.600 14.152
Si 7.069 4.171 13.567
Si 12.372 3.405 13.270
Si 0.137 8.830 2.645
Si 7.713 10.639 10.025
Si 9.728 6.946 5.336
Si 8.653 9.412 2.453
Si 8.151 13.098 1.068
Si 2.328 4.630 5.514
Si 12.953 9.055 13.078
Si 2.473 9.557 11.693
Si 6.015 6.015 6.015
Si 2.974 11.192 4.109
Si 14.029 1.747 4.438
Si 10.025 7.713 10.639
Si 1.089 5.870 12.194
Si 4.724 8.265 8.854
Si 13.270 12.372 3.405
Si 11.807 12.984 5.312
Si 9.443 1.182 12.395
Si 8.878 10.762 6.187
Si 13.098 1.068 8.151
Si 2.645 0.137 8.830
Si 14.152 2.912 0.600
Si 11.713 1.569 11.838
Si 12.395 9.443 1.182
Si 9.995 6.483 0.014
Si 4.171 13.567 7.069
Si 9.055 13.078 12.953
Si 5.289 3.678 0.897
Si 8.265 8.854 4.724
Si 5.870 12.194 1.089
Si 6.453 3.556 11.224
Si 6.516 13.599 7.650
Si 7.650 6.516 13.599
Si 11.224 6.453 3.556
Si 3.405 13.270 12.372
Si 12.194 1.089 5.870
Si 7.097 11.255 7.683
Si 4.630 5.514 2.328
Si 2.942 13.536 3.527
Si 0.014 9.995 6.483
Si 12.597 4.755 9.536
Si 7.683 7.097 11.255
Si 11.521 7.220 12.419
Si 5.336 9.728 6.946
Si 2.360 5.901 1.771
Si 1.771 2.360 5.901
Si 4.141 0.630 10.610
Si 10.057 10.057 10.057
Si 1.182 12.395 9.443
Si 6.946 5.336 9.728
Si 0.567 0.567 0.567
Ba 4.358 6.266 12.395
Ba 2.674 2.674 2.674
Ba 5.312 2.725 7.900
Ba 6.215 0.868 13.298
Ba 0.817 1.771 11.442
Ba 4.409 11.493 9.757
Ba 9.757 4.409 11.493
Ba 5.312 8.854 1.771
Ba 12.395 4.358 6.266
Ba 11.493 9.757 4.409
Ba 6.266 12.395 4.358
Ba 2.725 7.900 5.312
Ba 7.900 5.312 2.725
Ba 1.771 5.312 8.854
Ba 0.868 13.298 6.215
Ba 11.442 0.817 1.771
Ba 12.395 12.395 12.395
Ba 13.349 8.854 9.808
Ba 8.854 9.808 13.349
Ba 1.771 11.442 0.817
Ba 7.951 7.951 7.951
Ba 8.854 1.771 5.312
Ba 9.808 13.349 8.854
Ba 13.298 6.215 0.868
```

=====

- Which value of MP2020-corrected energy does entry 2 give?
  -6.372 eV/atom

=====

- Which formula does entry 1 have?
  BaVSe3

=====

- Number 1 is which compound?
  BaVSe3